# 1
DFT (PBE+U) results for a relaxed Li4MnCo2O7 crystal.

Unit cell a=3.026 b=5.121 c=17.126 alpha=85.63 beta=88.50 gamma=75.66
Element x y z (fractional)
Li 0.000 0.000 0.000
Li 0.000 0.000 0.500
Li 0.148 0.717 0.287
Li 0.286 0.422 0.572
Li 0.430 0.142 0.856
Li 0.570 0.858 0.144
Li 0.714 0.578 0.428
Li 0.852 0.283 0.713
Mn 0.294 0.428 0.073
Mn 0.706 0.572 0.927
Co 0.137 0.715 0.782
Co 0.431 0.136 0.364
Co 0.569 0.864 0.636
Co 0.863 0.285 0.218
O 0.039 0.845 0.887
O 0.081 0.883 0.391
O 0.235 0.555 0.178
O 0.237 0.593 0.680
O 0.357 0.281 0.453
O 0.381 0.299 0.967
O 0.480 0.024 0.258
O 0.520 0.976 0.742
O 0.619 0.701 0.033
O 0.643 0.719 0.547
O 0.763 0.407 0.320
O 0.765 0.445 0.822
O 0.919 0.117 0.609
O 0.961 0.155 0.113

Calculated values
Energy relative to the elements in eV per atom: -1.8017
Excess energy over the best structure of this formula in the dataset in kJ/mol of formula units: 111

# 2
DFT (PBE+U) results for a relaxed Li4MnCo2O7 crystal.

Unit cell a=2.906 b=7.760 c=11.438 alpha=81.84 beta=83.11 gamma=81.56
Element x y z (fractional)
Li 0.000 0.000 0.000
Li 0.069 0.213 0.644
Li 0.186 0.656 0.932
Li 0.357 0.077 0.202
Li 0.500 0.500 0.500
Li 0.643 0.923 0.798
Li 0.814 0.344 0.068
Li 0.931 0.787 0.356
Mn 0.437 0.276 0.865
Mn 0.563 0.724 0.135
Co 0.133 0.430 0.284
Co 0.286 0.857 0.572
Co 0.714 0.143 0.428
Co 0.867 0.570 0.716
O 0.017 0.127 0.824
O 0.099 0.313 0.459
O 0.141 0.556 0.113
O 0.248 0.739 0.747
O 0.330 0.975 0.397
O 0.398 0.190 0.022
O 0.478 0.399 0.690
O 0.522 0.601 0.310
O 0.602 0.810 0.978
O 0.670 0.025 0.603
O 0.752 0.261 0.253
O 0.859 0.444 0.887
O 0.901 0.687 0.541
O 0.983 0.873 0.176

Calculated values
Energy relative to the elements in eV per atom: -1.8498
Excess energy over the best structure of this formula in the dataset in kJ/mol of formula units: 46

# 3
DFT (PBE+U) results for a relaxed Li4MnCo2O7 crystal.

Unit cell a=3.021 b=9.740 c=9.821 alpha=116.45 beta=93.97 gamma=96.24
Element x y z (fractional)
Li 0.000 0.000 0.000
Li 0.062 0.136 0.784
Li 0.218 0.426 0.356
Li 0.360 0.722 0.930
Li 0.499 0.999 0.501
Li 0.640 0.281 0.074
Li 0.787 0.576 0.646
Li 0.935 0.860 0.217
Mn 0.144 0.283 0.568
Mn 0.713 0.429 0.861
Co 0.282 0.574 0.147
Co 0.431 0.861 0.727
Co 0.576 0.136 0.272
Co 0.860 0.716 0.431
O 0.016 0.081 0.393
O 0.128 0.207 0.186
O 0.159 0.370 0.973
O 0.276 0.489 0.747
O 0.343 0.661 0.547
O 0.364 0.772 0.322
O 0.470 0.947 0.126
O 0.529 0.051 0.874
O 0.584 0.224 0.682
O 0.696 0.339 0.453
O 0.716 0.513 0.255
O 0.853 0.634 0.038
O 0.877 0.792 0.815
O 0.987 0.916 0.606

Calculated values
Energy relative to the elements in eV per atom: -1.8091
Excess energy over the best structure of this formula in the dataset in kJ/mol of formula units: 101

# 4
DFT (PBE+U) results for a relaxed Li4MnCo3O8 crystal.

Unit cell a=5.279 b=2.843 c=9.805 alpha=90.00 beta=96.04 gamma=90.00
Element x y z (fractional)
Li 0.000 0.000 0.000
Li 0.248 0.500 0.250
Li 0.500 0.000 0.500
Li 0.752 0.500 0.750
Mn 0.500 0.500 0.000
Co 0.000 0.500 0.500
Co 0.243 0.000 0.747
Co 0.757 0.000 0.253
O 0.116 0.000 0.383
O 0.133 0.500 0.860
O 0.358 0.500 0.635
O 0.382 0.000 0.116
O 0.618 0.000 0.884
O 0.642 0.500 0.365
O 0.867 0.500 0.140
O 0.884 0.000 0.617

Calculated values
Energy relative to the elements in eV per atom: -1.7751
Excess energy over the best structure of this formula in the dataset in kJ/mol of formula units: 32

# 5
DFT (PBE+U) results for a relaxed Li2Mn3CoO8 crystal.

Unit cell a=8.352 b=8.352 c=8.352 alpha=90.00 beta=90.00 gamma=90.00
Element x y z (fractional)
Li 0.005 0.005 0.005
Li 0.245 0.245 0.245
Li 0.255 0.755 0.745
Li 0.495 0.995 0.505
Li 0.505 0.495 0.995
Li 0.745 0.255 0.755
Li 0.755 0.745 0.255
Li 0.995 0.505 0.495
Mn 0.120 0.130 0.625
Mn 0.125 0.380 0.870
Mn 0.130 0.625 0.120
Mn 0.370 0.375 0.620
Mn 0.375 0.620 0.370
Mn 0.380 0.870 0.125
Mn 0.620 0.370 0.375
Mn 0.625 0.120 0.130
Mn 0.630 0.875 0.880
Mn 0.870 0.125 0.380
Mn 0.875 0.880 0.630
Mn 0.880 0.630 0.875
Co 0.125 0.875 0.375
Co 0.375 0.125 0.875
Co 0.625 0.625 0.625
Co 0.875 0.375 0.125
O 0.099 0.126 0.394
O 0.106 0.901 0.626
O 0.116 0.616 0.884
O 0.124 0.151 0.856
O 0.126 0.394 0.099
O 0.134 0.366 0.634
O 0.144 0.624 0.349
O 0.151 0.856 0.124
O 0.349 0.144 0.624
O 0.356 0.376 0.849
O 0.366 0.634 0.134
O 0.374 0.606 0.599
O 0.376 0.849 0.356
O 0.384 0.384 0.384
O 0.394 0.099 0.126
O 0.401 0.874 0.894
O 0.599 0.374 0.606
O 0.606 0.599 0.374
O 0.616 0.884 0.116
O 0.624 0.349 0.144
O 0.626 0.106 0.901
O 0.634 0.134 0.366
O 0.644 0.876 0.651
O 0.651 0.644 0.876
O 0.849 0.356 0.376
O 0.856 0.124 0.151
O 0.866 0.866 0.866
O 0.874 0.894 0.401
O 0.876 0.651 0.644
O 0.884 0.116 0.616
O 0.894 0.401 0.874
O 0.901 0.626 0.106

Calculated values
Energy relative to the elements in eV per atom: -1.8777
Excess energy over the best structure of this formula in the dataset in kJ/mol of formula units: 102

# 6
DFT (PBE+U) results for a relaxed Li7Mn4CoO12 crystal.

Unit cell a=7.813 b=7.813 c=10.494 alpha=107.02 beta=107.02 gamma=21.31
Element x y z (fractional)
Li 0.000 0.000 0.000
Li 0.001 0.001 0.493
Li 0.164 0.164 0.414
Li 0.326 0.326 0.810
Li 0.330 0.330 0.331
Li 0.667 0.667 0.646
Li 0.673 0.673 0.186
Mn 0.165 0.165 0.907
Mn 0.493 0.493 0.740
Mn 0.507 0.507 0.259
Mn 0.835 0.835 0.085
Co 0.815 0.815 0.553
O 0.067 0.067 0.701
O 0.074 0.074 0.205
O 0.251 0.251 0.619
O 0.258 0.258 0.120
O 0.415 0.415 0.563
O 0.416 0.416 0.058
O 0.575 0.575 0.433
O 0.583 0.583 0.932
O 0.742 0.742 0.873
O 0.757 0.757 0.379
O 0.927 0.927 0.793
O 0.929 0.929 0.289

Calculated values
Energy relative to the elements in eV per atom: -2.0362
Excess energy over the best structure of this formula in the dataset in kJ/mol of formula units: 111

# 7
DFT (PBE+U) results for a relaxed Li7Mn2Co3O12 crystal.

Unit cell a=2.983 b=7.793 c=10.117 alpha=111.14 beta=91.39 gamma=97.92
Element x y z (fractional)
Li 0.000 0.000 0.000
Li 0.008 0.009 0.523
Li 0.329 0.667 0.344
Li 0.343 0.682 0.849
Li 0.484 0.999 0.770
Li 0.656 0.335 0.686
Li 0.666 0.336 0.178
Mn 0.511 0.000 0.263
Mn 0.832 0.680 0.603
Co 0.153 0.324 0.924
Co 0.176 0.337 0.427
Co 0.830 0.666 0.094
O 0.096 0.193 0.741
O 0.130 0.173 0.232
O 0.216 0.501 0.120
O 0.272 0.519 0.627
O 0.380 0.816 0.560
O 0.446 0.834 0.064
O 0.553 0.185 0.969
O 0.612 0.174 0.466
O 0.743 0.502 0.399
O 0.775 0.500 0.902
O 0.885 0.830 0.294
O 0.902 0.823 0.792

Calculated values
Energy relative to the elements in eV per atom: -1.8622
Excess energy over the best structure of this formula in the dataset in kJ/mol of formula units: 165

# 8
DFT (PBE+U) results for a relaxed Li5Mn5Co2O12 crystal.

Unit cell a=5.161 b=5.161 c=9.843 alpha=94.58 beta=94.58 gamma=119.12
Element x y z (fractional)
Li 0.000 0.000 0.000
Li 0.248 0.262 0.756
Li 0.405 0.072 0.242
Li 0.738 0.752 0.244
Li 0.928 0.595 0.758
Mn 0.077 0.405 0.242
Mn 0.159 0.841 0.500
Mn 0.499 0.501 0.500
Mn 0.595 0.923 0.758
Mn 0.663 0.337 0.000
Co 0.336 0.664 0.000
Co 0.830 0.170 0.500
O 0.032 0.671 0.113
O 0.102 0.125 0.367
O 0.248 0.569 0.630
O 0.329 0.968 0.887
O 0.387 0.386 0.111
O 0.431 0.752 0.370
O 0.539 0.222 0.616
O 0.614 0.613 0.889
O 0.717 0.076 0.124
O 0.778 0.461 0.384
O 0.875 0.898 0.633
O 0.924 0.283 0.876

Calculated values
Energy relative to the elements in eV per atom: -1.9700

# 9
DFT (PBE+U) results for a relaxed Li7Mn2Co3O12 crystal.

Unit cell a=4.996 b=5.096 c=8.766 alpha=90.30 beta=90.51 gamma=108.71
Element x y z (fractional)
Li 0.000 0.000 0.000
Li 0.001 0.001 0.328
Li 0.002 0.001 0.657
Li 0.499 0.001 0.827
Li 0.500 0.003 0.171
Li 0.504 0.504 0.325
Li 0.507 0.000 0.485
Mn 0.003 0.502 0.165
Mn 0.998 0.497 0.829
Co 0.492 0.494 0.652
Co 0.499 0.499 0.997
Co 0.995 0.510 0.488
O 0.229 0.737 0.320
O 0.236 0.730 0.677
O 0.240 0.717 0.995
O 0.248 0.277 0.837
O 0.253 0.282 0.150
O 0.256 0.272 0.506
O 0.740 0.712 0.832
O 0.754 0.723 0.149
O 0.758 0.282 0.994
O 0.759 0.736 0.502
O 0.766 0.268 0.672
O 0.781 0.268 0.318

Calculated values
Energy relative to the elements in eV per atom: -1.9004
Excess energy over the best structure of this formula in the dataset in kJ/mol of formula units: 76

# 10
DFT (PBE+U) results for a relaxed Li5MnCo2O8 crystal.

Unit cell a=20.160 b=20.160 c=20.160 alpha=8.30 beta=8.30 gamma=8.30
Element x y z (fractional)
Li 0.000 0.000 0.000
Li 0.123 0.123 0.123
Li 0.374 0.374 0.374
Li 0.626 0.626 0.626
Li 0.877 0.877 0.877
Mn 0.500 0.500 0.500
Co 0.249 0.249 0.249
Co 0.751 0.751 0.751
O 0.066 0.066 0.066
O 0.185 0.185 0.185
O 0.312 0.312 0.312
O 0.437 0.437 0.437
O 0.563 0.563 0.563
O 0.688 0.688 0.688
O 0.815 0.815 0.815
O 0.934 0.934 0.934

Calculated values
Energy relative to the elements in eV per atom: -1.6992
Excess energy over the best structure of this formula in the dataset in kJ/mol of formula units: 289

# 11
DFT (PBE+U) results for a relaxed Li4MnCo3O8 crystal.

Unit cell a=9.862 b=9.862 c=5.104 alpha=96.14 beta=96.14 gamma=16.96
Element x y z (fractional)
Li 0.125 0.125 0.383
Li 0.373 0.373 0.134
Li 0.627 0.627 0.866
Li 0.875 0.875 0.617
Mn 0.000 0.000 0.000
Co 0.250 0.250 0.750
Co 0.500 0.500 0.500
Co 0.750 0.750 0.250
O 0.056 0.056 0.662
O 0.192 0.192 0.067
O 0.307 0.307 0.432
O 0.447 0.447 0.809
O 0.553 0.553 0.191
O 0.693 0.693 0.568
O 0.808 0.808 0.933
O 0.944 0.944 0.338

Calculated values
Energy relative to the elements in eV per atom: -1.7617
Excess energy over the best structure of this formula in the dataset in kJ/mol of formula units: 53

# 12
DFT (PBE+U) results for a relaxed Li3MnCoO5 crystal.

Unit cell a=10.705 b=10.705 c=5.900 alpha=97.72 beta=97.72 gamma=15.50
Element x y z (fractional)
Li 0.000 0.000 0.000
Li 0.001 0.001 0.509
Li 0.198 0.198 0.603
Li 0.409 0.409 0.213
Li 0.593 0.593 0.794
Li 0.802 0.802 0.409
Mn 0.198 0.198 0.104
Mn 0.405 0.405 0.705
Co 0.589 0.589 0.312
Co 0.801 0.801 0.905
O 0.102 0.102 0.537
O 0.107 0.107 0.078
O 0.293 0.293 0.132
O 0.305 0.305 0.678
O 0.492 0.492 0.749
O 0.505 0.505 0.253
O 0.698 0.698 0.882
O 0.701 0.701 0.326
O 0.898 0.898 0.480
O 0.900 0.900 0.930

Calculated values
Energy relative to the elements in eV per atom: -1.9033
Excess energy over the best structure of this formula in the dataset in kJ/mol of formula units: 54

# 13
DFT (PBE+U) results for a relaxed Li4Mn3CoO8 crystal.

Unit cell a=5.091 b=3.079 c=9.944 alpha=90.00 beta=103.07 gamma=90.00
Element x y z (fractional)
Li 0.000 0.000 0.000
Li 0.249 0.500 0.250
Li 0.500 0.000 0.500
Li 0.751 0.500 0.750
Mn 0.000 0.500 0.500
Mn 0.250 0.000 0.752
Mn 0.750 0.000 0.248
Co 0.500 0.500 0.000
O 0.103 0.000 0.372
O 0.147 0.500 0.878
O 0.352 0.500 0.623
O 0.399 0.000 0.125
O 0.601 0.000 0.875
O 0.648 0.500 0.377
O 0.853 0.500 0.122
O 0.897 0.000 0.628

Calculated values
Energy relative to the elements in eV per atom: -1.9957
Excess energy over the best structure of this formula in the dataset in kJ/mol of formula units: 50